(1)
# Fe12N5

A relaxed structure of Fe12N5 (PBE, the Materials Project database).

Geometry as CIF:
```
data_Fe12N5
_space_group_name_H-M_alt 'P -3 1 m'
_space_group_IT_number 162
_space_group_name_Hall '-P 3 2'
_cell_length_a 9.4115
_cell_length_b 9.4115
_cell_length_c 4.3078
_cell_angle_alpha 90.00
_cell_angle_beta 90.00
_cell_angle_gamma 120.00
loop_
_atom_site_label
_atom_site_type_symbol
_atom_site_fract_x
_atom_site_fract_y
_atom_site_fract_z
_atom_site_occupancy
Fe1 Fe 0.0000 0.1658 0.2540 1
Fe2 Fe 0.0000 0.3363 0.7453 1
Fe3 Fe 0.1728 0.5072 0.2477 1
N1 N 0.0000 0.0000 0.0000 1
N2 N 0.0000 0.5000 0.0000 1
N3 N 0.1713 0.3427 0.5000 1
```

Properties
**DFT total energy**: -0.624 Ry/atom

(2)
# Ho2Ni17

A relaxed structure of Ho2Ni17 (PBE, the Materials Project database).

Geometry as CIF:
```
data_Ho2Ni17
_space_group_name_H-M_alt 'P 63/m m c'
_space_group_IT_number 194
_space_group_name_Hall '-P 6c 2c'
_cell_length_a 8.2502
_cell_length_b 8.2502
_cell_length_c 8.0336
_cell_angle_alpha 90.00
_cell_angle_beta 90.00
_cell_angle_gamma 120.00
loop_
_atom_site_label
_atom_site_type_symbol
_atom_site_fract_x
_atom_site_fract_y
_atom_site_fract_z
_atom_site_occupancy
Ho1 Ho 0.0000 0.0000 0.2500 1
Ho2 Ho 0.3333 0.6667 0.2500 1
Ni1 Ni 0.0000 0.5000 0.0000 1
Ni2 Ni 0.0406 0.3688 0.7500 1
Ni3 Ni 0.1656 0.3311 0.0191 1
Ni4 Ni 0.3333 0.6667 0.6015 1
```

Properties
**DFT total energy**: -0.431 Ry/atom

(3)
# BaB2O4

A relaxed structure of BaB2O4 (PBE, the Materials Project database).

Geometry as CIF:
```
data_BaB2O4
_space_group_name_H-M_alt 'R -3 c'
_space_group_IT_number 167
_space_group_name_Hall '-R 3 2"c'
_cell_length_a 7.3260
_cell_length_b 7.3260
_cell_length_c 40.1533
_cell_angle_alpha 90.00
_cell_angle_beta 90.00
_cell_angle_gamma 120.00
loop_
_atom_site_label
_atom_site_type_symbol
_atom_site_fract_x
_atom_site_fract_y
_atom_site_fract_z
_atom_site_occupancy
Ba1 Ba 0.0000 0.0000 0.1510 1
Ba2 Ba 0.0000 0.0000 0.2500 1
B1 B 0.0334 0.2102 0.4615 1
O1 O 0.0096 0.2724 0.7971 1
O2 O 0.0323 0.2041 0.5396 1
```

Properties
**DFT total energy**: -0.567 Ry/atom
**Distance to the lowest polymorph of the same formula**: 0 kJ/mol of formula units

(4)
# ErNiB4

A relaxed structure of ErNiB4 (PBE, the Materials Project database).

Geometry as CIF:
```
data_ErNiB4
_space_group_name_H-M_alt 'I 4/m m m'
_space_group_IT_number 139
_space_group_name_Hall '-I 4 2'
_cell_length_a 7.4986
_cell_length_b 7.4986
_cell_length_c 8.4885
_cell_angle_alpha 90.00
_cell_angle_beta 90.00
_cell_angle_gamma 90.00
loop_
_atom_site_label
_atom_site_type_symbol
_atom_site_fract_x
_atom_site_fract_y
_atom_site_fract_z
_atom_site_occupancy
Er1 Er 0.0000 0.0000 0.2034 1
Er2 Er 0.0000 0.5000 0.2500 1
Ni1 Ni 0.0000 0.2284 0.5000 1
B1 B 0.1115 0.2756 0.0000 1
B2 B 0.2332 0.2332 0.3469 1
```

Properties
**DFT total energy**: -0.496 Ry/atom
**Distance to the lowest polymorph of the same formula**: 0 kJ/mol of formula units

(5)
# Zr2N2O

A relaxed structure of Zr2N2O (PBE, the Materials Project database).

Geometry as CIF:
```
data_Zr2N2O
_space_group_name_H-M_alt 'P 1'
_space_group_IT_number 1
_space_group_name_Hall 'P 1'
_cell_length_a 5.5407
_cell_length_b 5.7830
_cell_length_c 16.1815
_cell_angle_alpha 90.05
_cell_angle_beta 90.00
_cell_angle_gamma 90.25
loop_
_atom_site_label
_atom_site_type_symbol
_atom_site_fract_x
_atom_site_fract_y
_atom_site_fract_z
_atom_site_occupancy
Zr1 Zr 0.0000 0.0000 0.0000 1
Zr2 Zr 0.9997 0.0410 0.7615 1
Zr3 Zr 0.0034 0.4532 0.6158 1
Zr4 Zr 0.0071 0.9989 0.5025 1
Zr5 Zr 0.0091 0.5444 0.1121 1
Zr6 Zr 0.0149 0.5005 0.8714 1
Zr7 Zr 0.0175 0.5076 0.3739 1
Zr8 Zr 0.4945 0.9829 0.8780 1
Zr9 Zr 0.5118 0.0116 0.3740 1
Zr10 Zr 0.5159 0.9543 0.6093 1
Zr11 Zr 0.5176 0.0423 0.1132 1
Zr12 Zr 0.5177 0.4982 0.5019 1
Zr13 Zr 0.5206 0.4974 0.0014 1
Zr14 Zr 0.5221 0.5426 0.7594 1
Zr15 Zr 0.5380 0.4525 0.2573 1
Zr16 Zr 0.9880 0.9505 0.2574 1
N1 N 0.1662 0.3577 0.4853 1
N2 N 0.1708 0.6417 0.9863 1
N3 N 0.2189 0.7739 0.8085 1
N4 N 0.3570 0.1396 0.9864 1
N5 N 0.3621 0.8590 0.4871 1
N6 N 0.6456 0.0850 0.2400 1
N7 N 0.6587 0.3738 0.3873 1
N8 N 0.6635 0.6301 0.8878 1
N9 N 0.7170 0.2258 0.5656 1
N10 N 0.7171 0.7714 0.0664 1
N11 N 0.8086 0.2704 0.0670 1
N12 N 0.8091 0.7283 0.5682 1
N13 N 0.8599 0.1266 0.8868 1
N14 N 0.8670 0.8731 0.3883 1
N15 N 0.8712 0.4113 0.7390 1
N16 N 0.8807 0.5854 0.2393 1
O1 O 0.1634 0.9166 0.1409 1
O2 O 0.1653 0.0830 0.6408 1
O3 O 0.2091 0.2230 0.3110 1
O4 O 0.3175 0.7225 0.3124 1
O5 O 0.3198 0.2649 0.8085 1
O6 O 0.3632 0.4166 0.1399 1
O7 O 0.3642 0.5777 0.6393 1
O8 O 0.6563 0.9067 0.7356 1
```

Properties
**DFT total energy**: -0.713 Ry/atom

(6)
# Te4MoW3Se2S2

A relaxed structure of Te4MoW3Se2S2 (PBE, the Materials Project database).

Geometry as CIF:
```
data_Te4MoW3Se2S2
_space_group_name_H-M_alt 'P 3 m 1'
_space_group_IT_number 156
_space_group_name_Hall 'P 3 -2"'
_cell_length_a 3.3959
_cell_length_b 3.3959
_cell_length_c 38.8568
_cell_angle_alpha 90.00
_cell_angle_beta 90.00
_cell_angle_gamma 120.00
loop_
_atom_site_label
_atom_site_type_symbol
_atom_site_fract_x
_atom_site_fract_y
_atom_site_fract_z
_atom_site_occupancy
Te1 Te 0.0000 0.0000 0.0000 1
Te2 Te 0.0000 0.0000 0.0965 1
Te3 Te 0.6667 0.3333 0.1879 1
Te4 Te 0.6667 0.3333 0.2849 1
Mo1 Mo 0.6667 0.3333 0.0482 1
W1 W 0.0000 0.0000 0.2364 1
W2 W 0.0000 0.0000 0.6120 1
W3 W 0.6667 0.3333 0.4241 1
Se1 Se 0.6667 0.3333 0.5693 1
Se2 Se 0.6667 0.3333 0.6546 1
S1 S 0.0000 0.0000 0.3853 1
S2 S 0.0000 0.0000 0.4629 1
```

Properties
**DFT total energy**: -0.502 Ry/atom
**Distance to the lowest polymorph of the same formula**: 0 kJ/mol of formula units

(7)
# ZnSeO5

A relaxed structure of ZnSeO5 (PBE, the Materials Project database).

Geometry as CIF:
```
data_ZnSeO5
_space_group_name_H-M_alt 'P 1 21/c 1'
_space_group_IT_number 14
_space_group_name_Hall '-P 2ybc'
_cell_length_a 5.2196
_cell_length_b 9.5045
_cell_length_c 9.8472
_cell_angle_alpha 90.00
_cell_angle_beta 110.56
_cell_angle_gamma 90.00
loop_
_atom_site_label
_atom_site_type_symbol
_atom_site_fract_x
_atom_site_fract_y
_atom_site_fract_z
_atom_site_occupancy
Zn1 Zn 0.0677 0.1348 0.4270 1
Se1 Se 0.3287 0.6648 0.8562 1
O1 O 0.0104 0.0618 0.0194 1
O2 O 0.0946 0.5822 0.9202 1
O3 O 0.1656 0.6937 0.2653 1
O4 O 0.4241 0.2297 0.4954 1
O5 O 0.4397 0.5476 0.7696 1
```

Properties
**DFT total energy**: -0.363 Ry/atom
**Distance to the lowest polymorph of the same formula**: 34 kJ/mol of formula units

(8)
# SiSn3

A relaxed structure of SiSn3 (PBE, the Materials Project database).

Geometry as CIF:
```
data_SiSn3
_space_group_name_H-M_alt 'P m -3 m'
_space_group_IT_number 221
_space_group_name_Hall '-P 4 2 3'
_cell_length_a 4.6496
_cell_length_b 4.6496
_cell_length_c 4.6496
_cell_angle_alpha 90.00
_cell_angle_beta 90.00
_cell_angle_gamma 90.00
loop_
_atom_site_label
_atom_site_type_symbol
_atom_site_fract_x
_atom_site_fract_y
_atom_site_fract_z
_atom_site_occupancy
Si1 Si 0.0000 0.0000 0.0000 1
Sn1 Sn 0.0000 0.5000 0.5000 1
```

Properties
**DFT total energy**: -0.297 Ry/atom

(9)
# YFeN2

A relaxed structure of YFeN2 (PBE, the Materials Project database).

Geometry as CIF:
```
data_YFeN2
_space_group_name_H-M_alt 'P b c a'
_space_group_IT_number 61
_space_group_name_Hall '-P 2ac 2ab'
_cell_length_a 6.0219
_cell_length_b 11.0802
_cell_length_c 13.4261
_cell_angle_alpha 90.00
_cell_angle_beta 90.00
_cell_angle_gamma 90.00
loop_
_atom_site_label
_atom_site_type_symbol
_atom_site_fract_x
_atom_site_fract_y
_atom_site_fract_z
_atom_site_occupancy
Y1 Y 0.0748 0.2187 0.0576 1
Y2 Y 0.1307 0.5558 0.6902 1
Fe1 Fe 0.1618 0.0401 0.4555 1
Fe2 Fe 0.2139 0.6993 0.2738 1
N1 N 0.0482 0.2182 0.7321 1
N2 N 0.1197 0.5967 0.0308 1
N3 N 0.1765 0.6309 0.5401 1
N4 N 0.2009 0.5536 0.3344 1
```

Properties
**DFT total energy**: -0.626 Ry/atom

(10)
# K3Ca2Mg10Si16H4O48

A relaxed structure of K3Ca2Mg10Si16H4O48 (PBE, the Materials Project database).

Geometry as CIF:
```
data_K3Ca2Mg10Si16H4O48
_space_group_name_H-M_alt 'P -1'
_space_group_IT_number 2
_space_group_name_Hall '-P 1'
_cell_length_a 8.2059
_cell_length_b 8.4123
_cell_length_c 15.1531
_cell_angle_alpha 90.69
_cell_angle_beta 97.59
_cell_angle_gamma 117.89
loop_
_atom_site_label
_atom_site_type_symbol
_atom_site_fract_x
_atom_site_fract_y
_atom_site_fract_z
_atom_site_occupancy
K1 K 0.0000 0.0000 0.0000 1
K2 K 0.4583 0.7370 0.6085 1
Ca1 Ca 0.2522 0.5214 0.1896 1
Mg1 Mg 0.1380 0.4678 0.7193 1
Mg2 Mg 0.2354 0.0126 0.5128 1
Mg3 Mg 0.2603 0.6373 0.9737 1
Mg4 Mg 0.2935 0.7083 0.3713 1
Mg5 Mg 0.3446 0.3089 0.6435 1
Si1 Si 0.0009 0.2519 0.3165 1
Si2 Si 0.0081 0.7108 0.1168 1
Si3 Si 0.1632 0.9752 0.2897 1
Si4 Si 0.1732 0.3825 0.4994 1
Si5 Si 0.3635 0.2365 0.8966 1
Si6 Si 0.4088 0.0589 0.7481 1
Si7 Si 0.4137 0.0137 0.0530 1
Si8 Si 0.4427 0.2729 0.1826 1
H1 H 0.3085 0.3518 0.0698 1
H2 H 0.3737 0.8043 0.2509 1
O1 O 0.0152 0.0343 0.5439 1
O2 O 0.0176 0.4906 0.8999 1
O3 O 0.0210 0.7471 0.5746 1
O4 O 0.0229 0.0611 0.2883 1
O5 O 0.0443 0.4573 0.2862 1
O6 O 0.0462 0.7762 0.2248 1
O7 O 0.1407 0.3714 0.6064 1
O8 O 0.1816 0.8344 0.0626 1
O9 O 0.2003 0.3068 0.9158 1
O10 O 0.2314 0.8465 0.7336 1
O11 O 0.2374 0.5879 0.4767 1
O12 O 0.2512 0.9314 0.3831 1
O13 O 0.2603 0.2794 0.1207 1
O14 O 0.2647 0.3449 0.3132 1
O15 O 0.2984 0.0821 0.9676 1
O16 O 0.3168 0.2944 0.5043 1
O17 O 0.3295 0.2029 0.7844 1
O18 O 0.3412 0.0925 0.2350 1
O19 O 0.3858 0.5412 0.3300 1
O20 O 0.3990 0.5525 0.7594 1
O21 O 0.4004 0.0964 0.6342 1
O22 O 0.4254 0.6019 0.0674 1
O23 O 0.4603 0.7672 0.8980 1
O24 O 0.4942 0.0586 0.8599 1
```

Properties
**DFT total energy**: -0.483 Ry/atom
**Distance to the lowest polymorph of the same formula**: 263 kJ/mol of formula units

What did we get for E_form? Answer: -0.160; -0.205; -3.097; -0.577; -2.098; -0.458; -0.836; 0.321; -0.792; -2.612 eV/atom, in the order shown.